Entry 1:
This record from Materials Project describes a relaxed structure of NiH6N2Cl2. The functional is PBE.

Cell: 3.772 5.913 5.913 Å, 87.54 88.10 91.90°
Atoms (fractional coordinates):
Ni 0.000 0.004 0.004
H 0.787 0.809 0.383
H 0.213 0.383 0.809
H 0.201 0.747 0.344
H 0.108 0.212 0.606
H 0.799 0.344 0.747
H 0.892 0.606 0.212
N 0.032 0.262 0.763
N 0.968 0.763 0.262
Cl 0.500 0.810 0.810
Cl 0.500 0.197 0.197

Computed properties:
Energy relative to the elements, eV per formula unit: -6.64
SG: C2
Crystal system: monoclinic
Total moment, μB/atom: 0.182
Total energy, eV per atom: -4.72
Volume, A^3/atom: 11.97

=====

Entry 2:
This record from Materials Project describes a relaxed structure of H8PtN2Cl2O2. The functional is PBE.

Cell: 7.626 6.479 6.774 Å, 89.84 90.00 90.00°
Atoms (fractional coordinates):
H 0.250 0.178 0.588
H 0.750 0.822 0.412
H 0.250 0.825 0.200
H 0.750 0.175 0.800
H 0.935 0.111 0.347
H 0.435 0.889 0.653
H 0.065 0.889 0.653
H 0.565 0.111 0.347
H 0.928 0.342 0.237
H 0.428 0.658 0.763
H 0.072 0.658 0.763
H 0.572 0.342 0.237
H 0.929 0.131 0.099
H 0.429 0.869 0.901
H 0.071 0.869 0.901
H 0.571 0.131 0.099
Pt 0.250 0.206 0.227
Pt 0.750 0.794 0.773
N 0.979 0.196 0.227
N 0.479 0.804 0.773
N 0.021 0.804 0.773
N 0.521 0.196 0.227
Cl 0.250 0.355 0.909
Cl 0.750 0.645 0.091
Cl 0.250 0.527 0.391
Cl 0.750 0.473 0.609
O 0.250 0.063 0.494
O 0.750 0.937 0.506
O 0.250 0.928 0.092
O 0.750 0.072 0.908

Computed properties:
Energy relative to the elements, eV per formula unit: -10.61
SG: P2_1/m
Crystal system: monoclinic
Total moment, μB/atom: 0.000
Total energy, eV per atom: -4.85
Energy above the most stable polymorph in this dataset, meV/atom: 2.6
Volume, A^3/atom: 11.16

=====

Entry 3:
This record from Materials Project describes a relaxed structure of H8PtN2Cl2O2. The functional is PBE.

Cell: 6.971 6.239 8.178 Å, 74.05 90.00 90.00°
Atoms (fractional coordinates):
H 0.736 0.337 0.438
H 0.236 0.663 0.062
H 0.264 0.663 0.562
H 0.764 0.337 0.938
H 0.840 0.132 0.370
H 0.340 0.868 0.130
H 0.160 0.868 0.630
H 0.660 0.132 0.870
H 0.839 0.118 0.580
H 0.339 0.882 0.920
H 0.161 0.882 0.420
H 0.661 0.118 0.080
H 0.611 0.819 0.281
H 0.111 0.181 0.219
H 0.889 0.819 0.781
H 0.389 0.181 0.719
Pt 0.500 0.000 0.500
Pt 0.000 0.000 0.000
N 0.760 0.168 0.467
N 0.260 0.832 0.033
N 0.240 0.832 0.533
N 0.740 0.168 0.967
Cl 0.661 0.664 0.619
Cl 0.161 0.336 0.881
Cl 0.339 0.336 0.381
Cl 0.839 0.664 0.119
O 0.525 0.948 0.265
O 0.025 0.052 0.235
O 0.475 0.052 0.735
O 0.975 0.948 0.765

Computed properties:
Energy relative to the elements, eV per formula unit: -10.65
SG: P2_1/c
Crystal system: monoclinic
Total moment, μB/atom: 0.000
Total energy, eV per atom: -4.85
Energy above the most stable polymorph in this dataset, meV/atom: 0.0
Volume, A^3/atom: 11.40

=====

Entry 4:
This record from Materials Project describes a relaxed structure of H2RhN2Cl5O. The functional is PBE.

Cell: 7.084 9.601 13.733 Å, 90.00 90.00 90.00°
Atoms (fractional coordinates):
H 0.545 0.165 0.470
H 0.955 0.335 0.970
H 0.455 0.665 0.530
H 0.045 0.835 0.030
H 0.455 0.835 0.530
H 0.045 0.665 0.030
H 0.545 0.335 0.470
H 0.955 0.165 0.970
Rh 0.301 0.250 0.613
Rh 0.199 0.250 0.113
Rh 0.699 0.750 0.387
Rh 0.801 0.750 0.887
N 0.340 0.003 0.856
N 0.160 0.497 0.356
N 0.660 0.503 0.144
N 0.840 0.997 0.644
N 0.660 0.997 0.144
N 0.840 0.503 0.644
N 0.340 0.497 0.856
N 0.160 0.003 0.356
Cl 0.048 0.250 0.507
Cl 0.452 0.250 0.007
Cl 0.952 0.750 0.493
Cl 0.548 0.750 0.993
Cl 0.108 0.250 0.743
Cl 0.392 0.250 0.243
Cl 0.892 0.750 0.257
Cl 0.608 0.750 0.757
Cl 0.566 0.250 0.709
Cl 0.934 0.250 0.209
Cl 0.434 0.750 0.291
Cl 0.066 0.750 0.791
Cl 0.308 0.007 0.608
Cl 0.192 0.493 0.108
Cl 0.692 0.507 0.392
Cl 0.808 0.993 0.892
Cl 0.692 0.993 0.392
Cl 0.808 0.507 0.892
Cl 0.308 0.493 0.608
Cl 0.192 0.007 0.108
O 0.470 0.250 0.483
O 0.030 0.250 0.983
O 0.530 0.750 0.517
O 0.970 0.750 0.017

Computed properties:
Energy relative to the elements, eV per formula unit: 5.14
SG: Pnma
Crystal system: orthorhombic
Total moment, μB/atom: 0.364
Total energy, eV per atom: -3.56
Volume, A^3/atom: 21.23

=====

Entry 5:
This record from Materials Project describes a relaxed structure of H18RuN5Cl2O2. The functional is PBE.

Cell: 10.221 10.056 13.283 Å, 51.92 90.00 90.00°
Atoms (fractional coordinates):
H 0.192 0.907 0.116
H 0.308 0.907 0.616
H 0.808 0.093 0.884
H 0.692 0.093 0.384
H 0.112 0.044 0.126
H 0.388 0.044 0.626
H 0.888 0.956 0.874
H 0.612 0.956 0.374
H 0.911 0.585 0.354
H 0.589 0.585 0.854
H 0.089 0.415 0.646
H 0.411 0.415 0.146
H 0.923 0.756 0.343
H 0.577 0.756 0.843
H 0.077 0.244 0.657
H 0.423 0.244 0.157
H 0.059 0.665 0.347
H 0.441 0.665 0.847
H 0.941 0.335 0.653
H 0.559 0.335 0.153
H 0.004 0.685 0.022
H 0.496 0.685 0.522
H 0.996 0.315 0.978
H 0.504 0.315 0.478
H 0.000 0.566 0.179
H 0.500 0.566 0.679
H 0.000 0.434 0.821
H 0.500 0.434 0.321
H 0.130 0.677 0.102
H 0.370 0.677 0.602
H 0.870 0.323 0.898
H 0.630 0.323 0.398
H 0.768 0.956 0.205
H 0.732 0.956 0.705
H 0.232 0.044 0.795
H 0.268 0.044 0.295
H 0.772 0.126 0.058
H 0.728 0.126 0.558
H 0.228 0.874 0.942
H 0.272 0.874 0.442
H 0.889 0.090 0.153
H 0.611 0.090 0.653
H 0.111 0.910 0.847
H 0.389 0.910 0.347
H 0.700 0.805 0.053
H 0.800 0.805 0.553
H 0.300 0.195 0.947
H 0.200 0.195 0.447
H 0.697 0.734 0.203
H 0.803 0.734 0.703
H 0.303 0.266 0.797
H 0.197 0.266 0.297
H 0.766 0.620 0.167
H 0.734 0.620 0.667
H 0.234 0.380 0.833
H 0.266 0.380 0.333
H 0.968 0.018 0.338
H 0.532 0.018 0.838
H 0.032 0.982 0.662
H 0.468 0.982 0.162
H 0.000 0.834 0.456
H 0.500 0.834 0.956
H 0.000 0.166 0.544
H 0.500 0.166 0.044
H 0.381 0.691 0.255
H 0.119 0.691 0.755
H 0.619 0.309 0.745
H 0.881 0.309 0.245
H 0.244 0.538 0.472
H 0.256 0.538 0.972
H 0.756 0.462 0.528
H 0.744 0.462 0.028
Ru 0.937 0.872 0.102
Ru 0.563 0.872 0.602
Ru 0.063 0.128 0.898
Ru 0.437 0.128 0.398
N 0.110 0.981 0.088
N 0.390 0.981 0.588
N 0.890 0.019 0.912
N 0.610 0.019 0.412
N 0.961 0.698 0.306
N 0.539 0.698 0.806
N 0.039 0.302 0.694
N 0.461 0.302 0.194
N 0.030 0.681 0.099
N 0.470 0.681 0.599
N 0.970 0.319 0.901
N 0.530 0.319 0.401
N 0.830 0.031 0.130
N 0.670 0.031 0.630
N 0.170 0.969 0.870
N 0.330 0.969 0.370
N 0.754 0.741 0.136
N 0.746 0.741 0.636
N 0.246 0.259 0.864
N 0.254 0.259 0.364
Cl 0.565 0.764 0.325
Cl 0.935 0.764 0.825
Cl 0.435 0.236 0.675
Cl 0.065 0.236 0.175
Cl 0.862 0.329 0.334
Cl 0.638 0.329 0.834
Cl 0.138 0.671 0.666
Cl 0.362 0.671 0.166
O 0.926 0.909 0.407
O 0.574 0.909 0.907
O 0.074 0.091 0.593
O 0.426 0.091 0.093
O 0.189 0.637 0.432
O 0.311 0.637 0.932
O 0.811 0.363 0.568
O 0.689 0.363 0.068

Computed properties:
Energy relative to the elements, eV per formula unit: -14.90
SG: P2_1/c
Crystal system: monoclinic
Total moment, μB/atom: 0.000
Total energy, eV per atom: -4.97
Volume, A^3/atom: 9.59

=====

Entry 6:
This record from Materials Project describes a relaxed structure of H2RuN2Cl5O. The functional is PBE.

Cell: 6.659 10.262 13.474 Å, 90.00 90.00 90.00°
Atoms (fractional coordinates):
H 0.956 0.750 0.924
H 0.544 0.750 0.424
H 0.044 0.250 0.076
H 0.456 0.250 0.576
H 0.151 0.750 0.997
H 0.349 0.750 0.497
H 0.849 0.250 0.003
H 0.651 0.250 0.503
Ru 0.802 0.750 0.118
Ru 0.698 0.750 0.618
Ru 0.198 0.250 0.882
Ru 0.302 0.250 0.382
N 0.342 0.499 0.145
N 0.158 0.001 0.645
N 0.658 0.999 0.855
N 0.842 0.501 0.355
N 0.658 0.501 0.855
N 0.842 0.999 0.355
N 0.342 0.001 0.145
N 0.158 0.499 0.645
Cl 0.549 0.750 0.000
Cl 0.951 0.750 0.500
Cl 0.451 0.250 0.000
Cl 0.049 0.250 0.500
Cl 0.588 0.750 0.247
Cl 0.912 0.750 0.747
Cl 0.412 0.250 0.753
Cl 0.088 0.250 0.253
Cl 0.082 0.750 0.215
Cl 0.418 0.750 0.715
Cl 0.918 0.250 0.785
Cl 0.582 0.250 0.285
Cl 0.809 0.526 0.112
Cl 0.691 0.974 0.612
Cl 0.191 0.026 0.888
Cl 0.309 0.474 0.388
Cl 0.191 0.474 0.888
Cl 0.309 0.026 0.388
Cl 0.809 0.974 0.112
Cl 0.691 0.526 0.612
O 0.004 0.750 0.992
O 0.496 0.750 0.492
O 0.996 0.250 0.008
O 0.504 0.250 0.508

Computed properties:
Energy relative to the elements, eV per formula unit: 4.37
SG: Pnma
Crystal system: orthorhombic
Total moment, μB/atom: 0.267
Total energy, eV per atom: -3.81
Volume, A^3/atom: 20.93

=====

Entry 7:
This record from Materials Project describes a relaxed structure of SnH3S4N4Cl5O. The functional is PBE.

Cell: 24.376 6.843 9.358 Å, 78.09 90.00 90.00°
Atoms (fractional coordinates):
Sn 0.362 0.522 0.751
Sn 0.862 0.978 0.249
Sn 0.638 0.478 0.249
Sn 0.138 0.022 0.751
H 0.391 0.933 0.493
H 0.891 0.567 0.507
H 0.609 0.067 0.507
H 0.109 0.433 0.493
H 0.285 0.213 0.740
H 0.785 0.287 0.260
H 0.715 0.787 0.260
H 0.215 0.713 0.740
H 0.343 0.110 0.738
H 0.843 0.390 0.262
H 0.657 0.890 0.262
H 0.157 0.610 0.738
S 0.343 0.176 0.325
S 0.843 0.324 0.675
S 0.657 0.824 0.675
S 0.157 0.676 0.325
S 0.323 0.856 0.160
S 0.823 0.644 0.840
S 0.677 0.144 0.840
S 0.177 0.356 0.160
S 0.442 0.758 0.177
S 0.942 0.742 0.823
S 0.558 0.242 0.823
S 0.058 0.258 0.177
S 0.458 0.096 0.328
S 0.958 0.404 0.672
S 0.542 0.904 0.672
S 0.042 0.596 0.328
N 0.397 0.057 0.410
N 0.897 0.443 0.590
N 0.603 0.943 0.590
N 0.103 0.557 0.410
N 0.315 0.051 0.219
N 0.815 0.449 0.781
N 0.685 0.949 0.781
N 0.185 0.551 0.219
N 0.378 0.730 0.195
N 0.878 0.770 0.805
N 0.622 0.270 0.805
N 0.122 0.230 0.195
N 0.471 0.933 0.232
N 0.971 0.567 0.768
N 0.529 0.067 0.768
N 0.029 0.433 0.232
Cl 0.416 0.316 0.942
Cl 0.916 0.184 0.058
Cl 0.584 0.684 0.058
Cl 0.084 0.816 0.942
Cl 0.286 0.523 0.921
Cl 0.786 0.977 0.079
Cl 0.714 0.477 0.079
Cl 0.214 0.023 0.921
Cl 0.303 0.699 0.556
Cl 0.803 0.801 0.444
Cl 0.697 0.301 0.444
Cl 0.197 0.199 0.556
Cl 0.431 0.495 0.570
Cl 0.931 0.005 0.430
Cl 0.569 0.505 0.430
Cl 0.069 0.995 0.570
Cl 0.399 0.844 0.791
Cl 0.899 0.656 0.209
Cl 0.601 0.156 0.209
Cl 0.101 0.344 0.791
O 0.322 0.236 0.703
O 0.822 0.264 0.297
O 0.678 0.764 0.297
O 0.178 0.736 0.703

Computed properties:
Energy relative to the elements, eV per formula unit: -5.82
SG: P2_1/c
Crystal system: monoclinic
Total moment, μB/atom: 0.000
Total energy, eV per atom: -4.63
Volume, A^3/atom: 21.21